DFT (r²SCAN) results for crystalline MgPb2 at its relaxed geometry.

energy of formation = -1.2 kJ per mole of atoms
energy relative to the lowest polymorph listed for this composition = 0.037 eV/atom

Cell: 3.530 3.530 15.690 Å, 90.00 90.00 120.00°
Element x y z (fractional)
Pb (0.667, 0.333, 0.824)
Pb (0.667, 0.333, 0.510)
Pb (0.000, 0.000, 0.324)
Mg (0.000, 0.000, 0.667)
Pb (0.000, 0.000, 0.010)
Mg (0.667, 0.333, 0.167)

***

DFT (r²SCAN) results for crystalline LaSn3Ru at its relaxed geometry.

energy of formation = -54.6 kJ per mole of atoms

Cell: 9.827 9.827 9.827 Å, 90.00 90.00 90.00°
Element x y z (fractional)
Sn (0.684, 0.158, 0.000)
La (0.000, 0.250, 0.500)
Sn (0.500, 0.658, 0.816)
Sn (0.842, 0.000, 0.684)
La (0.500, 0.000, 0.250)
La (0.500, 0.000, 0.750)
Sn (0.684, 0.842, 0.000)
Ru (0.250, 0.750, 0.750)
La (0.000, 0.000, 0.000)
La (0.250, 0.500, 0.000)
La (0.000, 0.750, 0.500)
Sn (0.158, 0.000, 0.684)
Sn (0.000, 0.316, 0.158)
Sn (0.158, 0.000, 0.316)
Sn (0.000, 0.684, 0.158)
Sn (0.316, 0.842, 0.000)
Sn (0.500, 0.342, 0.184)
Sn (0.842, 0.000, 0.316)
Sn (0.500, 0.342, 0.816)
Ru (0.250, 0.250, 0.750)
Sn (0.816, 0.500, 0.342)
Sn (0.816, 0.500, 0.658)
Ru (0.750, 0.750, 0.750)
Sn (0.000, 0.316, 0.842)
Ru (0.750, 0.250, 0.750)
Ru (0.750, 0.750, 0.250)
Ru (0.250, 0.750, 0.250)
Sn (0.000, 0.684, 0.842)
Sn (0.342, 0.184, 0.500)
Ru (0.750, 0.250, 0.250)
Sn (0.658, 0.184, 0.500)
Sn (0.342, 0.816, 0.500)
Sn (0.184, 0.500, 0.658)
Ru (0.250, 0.250, 0.250)
Sn (0.316, 0.158, 0.000)
Sn (0.658, 0.816, 0.500)
Sn (0.184, 0.500, 0.342)
Sn (0.500, 0.658, 0.184)
La (0.500, 0.500, 0.500)
La (0.750, 0.500, 0.000)

***

DFT (r²SCAN) results for crystalline TmAlGa at its relaxed geometry.

energy of formation = -59.8 kJ per mole of atoms

Cell: 5.644 5.644 6.928 Å, 53.86 53.86 43.96°
Element x y z (fractional)
Tm (0.441, 0.441, 0.813)
Al (0.163, 0.163, 0.399)
Tm (0.559, 0.559, 0.187)
Al (0.837, 0.837, 0.601)
Ga (0.161, 0.161, 0.796)
Ga (0.839, 0.839, 0.204)

***

DFT (r²SCAN) results for crystalline BaGa4O7 at its relaxed geometry.

energy of formation = -219.6 kJ per mole of atoms

Cell: 8.323 8.323 5.803 Å, 78.06 78.06 69.12°
Element x y z (fractional)
Ga (0.815, 0.943, 0.278)
O (0.874, 0.754, 0.107)
O (0.023, 0.977, 0.250)
O (0.369, 0.886, 0.830)
Ga (0.943, 0.815, 0.778)
O (0.754, 0.874, 0.607)
Ga (0.413, 0.239, 0.295)
O (0.126, 0.246, 0.893)
O (0.977, 0.023, 0.750)
O (0.414, 0.341, 0.546)
Ga (0.761, 0.587, 0.205)
O (0.586, 0.659, 0.454)
O (0.886, 0.369, 0.330)
Ga (0.185, 0.057, 0.722)
Ga (0.587, 0.761, 0.705)
O (0.631, 0.114, 0.170)
O (0.114, 0.631, 0.670)
Ga (0.239, 0.413, 0.795)
O (0.246, 0.126, 0.393)
O (0.659, 0.586, 0.954)
Ba (0.691, 0.309, 0.750)
Ga (0.057, 0.185, 0.222)
Ba (0.309, 0.691, 0.250)
O (0.341, 0.414, 0.046)

***

DFT (r²SCAN) results for crystalline Cs2LiYI6 at its relaxed geometry.

energy of formation = -161.3 kJ per mole of atoms

Cell: 8.471 8.471 8.471 Å, 60.00 60.00 60.00°
Element x y z (fractional)
I (0.251, 0.749, 0.749)
I (0.251, 0.749, 0.251)
I (0.749, 0.251, 0.251)
I (0.251, 0.251, 0.749)
Cs (0.250, 0.250, 0.250)
Li (0.500, 0.500, 0.500)
Y (0.000, 0.000, 0.000)
I (0.749, 0.251, 0.749)
I (0.749, 0.749, 0.251)
Cs (0.750, 0.750, 0.750)

***

DFT (r²SCAN) results for crystalline F at its relaxed geometry.

energy of formation = 0.3 kJ per mole of atoms
energy relative to the lowest polymorph listed for this composition = 0.003 eV/atom

Cell: 3.054 3.054 7.047 Å, 74.99 74.99 59.58°
Element x y z (fractional)
F (0.915, 0.915, 0.099)
F (0.496, 0.496, 0.401)
F (0.085, 0.085, 0.901)
F (0.504, 0.504, 0.599)

***

> Which value of energy of formation does entry 3 give?

-59.8 kJ per mole of atoms